No. 1
Material: SrH16O10
Method: DFT, PBE-GGA
State: relaxed Values from VASP.

Summary:
- E above lowest polymorph: 0.039 eV per atom
- Magnetization: 0.00 μB/f.u.
- Theoretical density: 1.840 g cm⁻³
- Formation enthalpy at 0 K: -1363.6 meV/atom

```
&SYSTEM
  ibrav = 0, nat = 54, ntyp = 3
/
ATOMIC_SPECIES
Sr 87.62 Sr.upf
H 1.01 H.upf
O 16.00 O.upf
ATOMIC_POSITIONS crystal
Sr 0.016 0.984 0.500
Sr 0.984 0.016 0.000
H 0.043 0.361 0.359
H 0.057 0.659 0.871
H 0.153 0.336 0.179
H 0.164 0.697 0.698
H 0.279 0.605 0.584
H 0.282 0.850 0.193
H 0.290 0.429 0.077
H 0.292 0.378 0.381
H 0.307 0.626 0.889
H 0.336 0.153 0.679
H 0.360 0.966 0.350
H 0.361 0.043 0.859
H 0.376 0.718 0.379
H 0.378 0.292 0.881
H 0.429 0.290 0.577
H 0.436 0.980 0.114
H 0.579 0.958 0.609
H 0.605 0.279 0.084
H 0.614 0.712 0.589
H 0.626 0.307 0.389
H 0.651 0.691 0.880
H 0.659 0.057 0.371
H 0.691 0.651 0.380
H 0.697 0.164 0.198
H 0.712 0.614 0.089
H 0.718 0.376 0.879
H 0.726 0.825 0.770
H 0.825 0.726 0.270
H 0.850 0.282 0.693
H 0.958 0.579 0.109
H 0.966 0.360 0.850
H 0.980 0.436 0.614
O 0.138 0.669 0.615
O 0.139 0.381 0.098
O 0.169 0.282 0.352
O 0.195 0.720 0.857
O 0.281 0.836 0.353
O 0.282 0.169 0.852
O 0.296 0.910 0.115
O 0.381 0.139 0.598
O 0.477 0.519 0.549
O 0.485 0.510 0.420
O 0.510 0.485 0.920
O 0.519 0.477 0.049
O 0.669 0.138 0.115
O 0.688 0.851 0.615
O 0.720 0.195 0.357
O 0.750 0.806 0.855
O 0.806 0.750 0.355
O 0.836 0.281 0.853
O 0.851 0.688 0.115
O 0.910 0.296 0.615
CELL_PARAMETERS angstrom
4.477 -4.614 0.000
4.477 4.614 0.000
-0.190 0.000 11.519
```


No. 2
Material: SrH16O10
Method: DFT, PBE-GGA
State: relaxed Values from VASP.

Summary:
- E above lowest polymorph: 0.062 eV per atom
- Magnetization: 0.00 μB/f.u.
- Theoretical density: 1.677 g cm⁻³
- Formation enthalpy at 0 K: -1340.6 meV/atom

```
&SYSTEM
  ibrav = 0, nat = 27, ntyp = 3
/
ATOMIC_SPECIES
Sr 87.62 Sr.upf
H 1.01 H.upf
O 16.00 O.upf
ATOMIC_POSITIONS crystal
Sr 0.000 0.000 0.000
H 0.286 0.909 0.670
H 0.289 0.314 0.653
H 0.289 0.683 0.339
H 0.300 0.076 0.296
H 0.307 0.663 0.651
H 0.319 0.322 0.323
H 0.410 0.209 0.825
H 0.443 0.799 0.197
H 0.569 0.780 0.807
H 0.593 0.206 0.184
H 0.706 0.641 0.313
H 0.709 0.318 0.658
H 0.714 0.074 0.667
H 0.726 0.663 0.668
H 0.738 0.637 0.074
H 0.743 0.324 0.326
O 0.263 0.205 0.760
O 0.277 0.782 0.748
O 0.285 0.804 0.245
O 0.296 0.207 0.222
O 0.385 0.491 0.493
O 0.638 0.498 0.497
O 0.731 0.731 0.187
O 0.733 0.195 0.751
O 0.733 0.763 0.783
O 0.754 0.225 0.212
CELL_PARAMETERS angstrom
5.978 0.000 0.000
0.046 6.509 0.000
0.047 0.041 6.710
```


No. 3
Material: SrH16O10
Method: DFT, PBE-GGA
State: relaxed Values from VASP.

Summary:
- E above lowest polymorph: 0.063 eV per atom
- Magnetization: 0.00 μB/f.u.
- Theoretical density: 1.629 g cm⁻³
- Formation enthalpy at 0 K: -1339.2 meV/atom

```
&SYSTEM
  ibrav = 0, nat = 27, ntyp = 3
/
ATOMIC_SPECIES
Sr 87.62 Sr.upf
H 1.01 H.upf
O 16.00 O.upf
ATOMIC_POSITIONS crystal
Sr 0.000 0.000 0.000
H 0.060 0.285 0.696
H 0.070 0.728 0.319
H 0.229 0.140 0.377
H 0.272 0.930 0.681
H 0.306 0.343 0.694
H 0.314 0.357 0.308
H 0.314 0.682 0.307
H 0.318 0.686 0.693
H 0.643 0.686 0.692
H 0.657 0.694 0.306
H 0.661 0.337 0.301
H 0.663 0.339 0.699
H 0.712 0.094 0.691
H 0.715 0.940 0.304
H 0.860 0.771 0.623
H 0.906 0.288 0.309
O 0.198 0.780 0.261
O 0.199 0.244 0.276
O 0.200 0.236 0.737
O 0.220 0.802 0.739
O 0.486 0.509 0.614
O 0.491 0.514 0.386
O 0.756 0.801 0.724
O 0.764 0.800 0.263
O 0.768 0.230 0.743
O 0.770 0.232 0.257
CELL_PARAMETERS angstrom
4.496 -4.538 0.000
4.496 4.538 0.000
-0.333 0.000 6.587
```